Entry 1:
# Ce9YO20 r2SCAN optimized geometry
# - energy relative to the elements (eV/atom) = -3.669
# - calculated total energy (Ry/atom) = -1.29210
data_Ce9YO20
_space_group_name_H-M_alt 'P -1'
_space_group_IT_number 2
_cell_length_a 6.650
_cell_length_b 7.678
_cell_length_c 8.588
_cell_angle_alpha 102.92
_cell_angle_beta 97.41
_cell_angle_gamma 106.76
loop_
_space_group_symop_operation_xyz
'x,y,z'
'-x,-y,-z'
loop_
_atom_site_label
_atom_site_type_symbol
_atom_site_fract_x
_atom_site_fract_y
_atom_site_fract_z
Ce1 Ce 0.000 0.000 0.000
Ce2 Ce 0.200 0.400 0.398
Ce3 Ce 0.200 0.899 0.398
Ce4 Ce 0.398 0.799 0.801
Ce5 Ce 0.400 0.301 0.801
Y1 Y 0.000 0.500 0.000
O1 O 0.050 0.223 0.849
O2 O 0.050 0.727 0.849
O3 O 0.149 0.674 0.550
O4 O 0.150 0.175 0.549
O5 O 0.251 0.125 0.250
O6 O 0.252 0.626 0.252
O7 O 0.351 0.075 0.950
O8 O 0.352 0.576 0.949
O9 O 0.449 0.024 0.650
O10 O 0.449 0.525 0.650



Entry 2:
# Yb2Ce8O19 r2SCAN optimized geometry
# - energy relative to the elements (eV/atom) = -3.760
# - calculated total energy (Ry/atom) = -1.37443
data_Yb2Ce8O19
_space_group_name_H-M_alt 'P -4 m 2'
_space_group_IT_number 115
_cell_length_a 3.827
_cell_length_b 3.827
_cell_length_c 26.888
_cell_angle_alpha 90.00
_cell_angle_beta 90.00
_cell_angle_gamma 90.00
loop_
_space_group_symop_operation_xyz
'x,y,z'
'y,-x,-z'
'-x,-y,z'
'-y,x,-z'
'-x,y,z'
'-y,-x,-z'
'x,-y,z'
'y,x,-z'
loop_
_atom_site_label
_atom_site_type_symbol
_atom_site_fract_x
_atom_site_fract_y
_atom_site_fract_z
Yb1 Yb 0.000 0.500 0.053
Ce1 Ce 0.000 0.500 0.247
Ce2 Ce 0.000 0.500 0.449
Ce3 Ce 0.000 0.500 0.652
Ce4 Ce 0.000 0.500 0.855
O1 O 0.000 0.000 0.000
O2 O 0.000 0.000 0.101
O3 O 0.000 0.000 0.199
O4 O 0.000 0.000 0.299
O5 O 0.000 0.000 0.399
O6 O 0.000 0.000 0.500
O7 O 0.500 0.500 0.086
O8 O 0.500 0.500 0.192
O9 O 0.500 0.500 0.296
O10 O 0.500 0.500 0.398
O11 O 0.500 0.500 0.500